Record 1
DFT (meta-GGA r2SCAN) results for a relaxed ZnS crystal.

Computed properties:
As for the total magnetization: 0.00 Bohr magnetons per cell. The calculation puts the density at 4.137 g cm⁻³. The energy comes out at -0.3467 Ha/atom. As for the calculated volume: 1096 Å³ per cell. The calculation puts the formation energy at -962 meV per atom. As for the symmetry: P3m1.

Cell and atoms, written as POSCAR:
```
ZnS
1.0
3.8096 0.0000 0.0000
-1.9048 3.2992 0.0000
0.0000 0.0000 87.1634
Zn S
28 28
Direct
0.0000 0.0000 0.0000
0.0000 0.0000 0.0715
0.0000 0.0000 0.1786
0.0000 0.0000 0.2501
0.0000 0.0000 0.3572
0.0000 0.0000 0.4643
0.0000 0.0000 0.5714
0.0000 0.0000 0.6786
0.0000 0.0000 0.7858
0.0000 0.0000 0.8928
0.3333 0.6667 0.0358
0.3333 0.6667 0.1429
0.3333 0.6667 0.2858
0.3333 0.6667 0.3928
0.3333 0.6667 0.5357
0.3333 0.6667 0.6072
0.3333 0.6667 0.7143
0.3333 0.6667 0.8214
0.3333 0.6667 0.9286
0.6667 0.3333 0.1072
0.6667 0.3333 0.2143
0.6667 0.3333 0.3214
0.6667 0.3333 0.4286
0.6667 0.3333 0.5000
0.6667 0.3333 0.6429
0.6667 0.3333 0.7500
0.6667 0.3333 0.8572
0.6667 0.3333 0.9643
0.0000 0.0000 0.0268
0.0000 0.0000 0.0982
0.0000 0.0000 0.2053
0.0000 0.0000 0.2768
0.0000 0.0000 0.3839
0.0000 0.0000 0.4911
0.0000 0.0000 0.5982
0.0000 0.0000 0.7054
0.0000 0.0000 0.8125
0.0000 0.0000 0.9196
0.3333 0.6667 0.0626
0.3333 0.6667 0.1696
0.3333 0.6667 0.3125
0.3333 0.6667 0.4196
0.3333 0.6667 0.5625
0.3333 0.6667 0.6339
0.3333 0.6667 0.7411
0.3333 0.6667 0.8482
0.3333 0.6667 0.9554
0.6667 0.3333 0.1339
0.6667 0.3333 0.2411
0.6667 0.3333 0.3482
0.6667 0.3333 0.4553
0.6667 0.3333 0.5268
0.6667 0.3333 0.6696
0.6667 0.3333 0.7768
0.6667 0.3333 0.8839
0.6667 0.3333 0.9911
```

---

Record 2
DFT (meta-GGA r2SCAN) results for a relaxed ZnS crystal.

Computed properties:
As for the total magnetization: 0.00 Bohr magnetons per cell. The calculation puts the density at 4.139 g cm⁻³. The energy comes out at -0.3467 Ha/atom. As for the calculated volume: 117 Å³ per cell. The calculation puts the formation energy at -961 meV per atom. As for the symmetry: R3m.

Cell and atoms, written as POSCAR:
```
ZnS
1.0
1.9031 1.0987 9.3519
-1.9031 1.0987 9.3519
0.0000 -2.1975 9.3519
Zn S
3 3
Direct
0.0000 0.0000 0.0000
0.2223 0.2223 0.2223
0.4446 0.4446 0.4446
0.0833 0.0833 0.0833
0.3054 0.3054 0.3054
0.5279 0.5279 0.5279
```

---

Record 3
DFT (meta-GGA r2SCAN) results for a relaxed ZnS crystal.

Computed properties:
As for the total magnetization: 0.00 Bohr magnetons per cell. The calculation puts the density at 4.140 g cm⁻³. The energy comes out at -0.3467 Ha/atom. As for the calculated volume: 704 Å³ per cell. The calculation puts the formation energy at -962 meV per atom. As for the symmetry: P3m1.

Cell and atoms, written as POSCAR:
```
ZnS
1.0
3.8071 0.0000 0.0000
-1.9035 3.2970 0.0000
0.0000 0.0000 56.0664
Zn S
18 18
Direct
0.0000 0.0000 0.0000
0.0000 0.0000 0.1111
0.0000 0.0000 0.2223
0.0000 0.0000 0.3889
0.0000 0.0000 0.5556
0.0000 0.0000 0.7222
0.0000 0.0000 0.8334
0.3333 0.6667 0.1667
0.3333 0.6667 0.3333
0.3333 0.6667 0.4445
0.3333 0.6667 0.6111
0.3333 0.6667 0.7778
0.3333 0.6667 0.9445
0.6667 0.3333 0.0556
0.6667 0.3333 0.2778
0.6667 0.3333 0.5000
0.6667 0.3333 0.6667
0.6667 0.3333 0.8889
0.0000 0.0000 0.0416
0.0000 0.0000 0.1527
0.0000 0.0000 0.2639
0.0000 0.0000 0.4306
0.0000 0.0000 0.5972
0.0000 0.0000 0.7638
0.0000 0.0000 0.8750
0.3333 0.6667 0.2083
0.3333 0.6667 0.3749
0.3333 0.6667 0.4861
0.3333 0.6667 0.6527
0.3333 0.6667 0.8194
0.3333 0.6667 0.9861
0.6667 0.3333 0.0972
0.6667 0.3333 0.3194
0.6667 0.3333 0.5416
0.6667 0.3333 0.7083
0.6667 0.3333 0.9305
```

---

Record 4
DFT (meta-GGA r2SCAN) results for a relaxed ZnS crystal.

Computed properties:
As for the total magnetization: 0.00 Bohr magnetons per cell. The calculation puts the density at 4.141 g cm⁻³. The energy comes out at -0.3467 Ha/atom. As for the calculated volume: 938 Å³ per cell. The calculation puts the formation energy at -962 meV per atom. As for the symmetry: P3m1.

Cell and atoms, written as POSCAR:
```
ZnS
1.0
3.8080 0.0000 0.0000
-1.9040 3.2978 0.0000
0.0000 0.0000 74.7083
Zn S
24 24
Direct
0.0000 0.0000 0.0000
0.0000 0.0000 0.0834
0.0000 0.0000 0.2084
0.0000 0.0000 0.3333
0.0000 0.0000 0.4583
0.0000 0.0000 0.5833
0.0000 0.0000 0.7500
0.0000 0.0000 0.8750
0.3333 0.6667 0.1250
0.3333 0.6667 0.2916
0.3333 0.6667 0.3750
0.3333 0.6667 0.5000
0.3333 0.6667 0.6250
0.3333 0.6667 0.7084
0.3333 0.6667 0.8334
0.3333 0.6667 0.9584
0.6667 0.3333 0.0417
0.6667 0.3333 0.1666
0.6667 0.3333 0.2501
0.6667 0.3333 0.4167
0.6667 0.3333 0.5416
0.6667 0.3333 0.6667
0.6667 0.3333 0.7917
0.6667 0.3333 0.9167
0.0000 0.0000 0.0312
0.0000 0.0000 0.1146
0.0000 0.0000 0.2396
0.0000 0.0000 0.3646
0.0000 0.0000 0.4896
0.0000 0.0000 0.6145
0.0000 0.0000 0.7813
0.0000 0.0000 0.9063
0.3333 0.6667 0.1562
0.3333 0.6667 0.3229
0.3333 0.6667 0.4062
0.3333 0.6667 0.5312
0.3333 0.6667 0.6562
0.3333 0.6667 0.7396
0.3333 0.6667 0.8646
0.3333 0.6667 0.9896
0.6667 0.3333 0.0730
0.6667 0.3333 0.1979
0.6667 0.3333 0.2813
0.6667 0.3333 0.4479
0.6667 0.3333 0.5729
0.6667 0.3333 0.6980
0.6667 0.3333 0.8229
0.6667 0.3333 0.9479
```

---

Record 5
DFT (meta-GGA r2SCAN) results for a relaxed ZnS crystal.

Computed properties:
As for the total magnetization: 0.00 Bohr magnetons per cell. The calculation puts the density at 4.139 g cm⁻³. The energy comes out at -0.3467 Ha/atom. As for the calculated volume: 704 Å³ per cell. The calculation puts the formation energy at -962 meV per atom. As for the symmetry: P3m1.

Cell and atoms, written as POSCAR:
```
ZnS
1.0
3.8080 0.0000 0.0000
-1.9040 3.2978 0.0000
0.0000 0.0000 56.0451
Zn S
18 18
Direct
0.0000 0.0000 0.0000
0.0000 0.0000 0.1112
0.0000 0.0000 0.2778
0.0000 0.0000 0.3889
0.0000 0.0000 0.6111
0.0000 0.0000 0.7778
0.3333 0.6667 0.1667
0.3333 0.6667 0.3333
0.3333 0.6667 0.5000
0.3333 0.6667 0.6667
0.3333 0.6667 0.8333
0.3333 0.6667 0.9445
0.6667 0.3333 0.0556
0.6667 0.3333 0.2222
0.6667 0.3333 0.4444
0.6667 0.3333 0.5556
0.6667 0.3333 0.7222
0.6667 0.3333 0.8889
0.0000 0.0000 0.0416
0.0000 0.0000 0.1528
0.0000 0.0000 0.3194
0.0000 0.0000 0.4306
0.0000 0.0000 0.6528
0.0000 0.0000 0.8194
0.3333 0.6667 0.2083
0.3333 0.6667 0.3750
0.3333 0.6667 0.5417
0.3333 0.6667 0.7083
0.3333 0.6667 0.8749
0.3333 0.6667 0.9861
0.6667 0.3333 0.0973
0.6667 0.3333 0.2639
0.6667 0.3333 0.4860
0.6667 0.3333 0.5972
0.6667 0.3333 0.7639
0.6667 0.3333 0.9306
```